Density functional theory data (PBE with a Hubbard U) for a geometry-optimized MgFe6O6F6 structure.

extended XYZ file:
```
19
Lattice="14.592 0.857 0.183 0.301 5.178 -0.007 0.041 -0.003 3.182" Properties=species:S:1:pos:R:3 pbc="T T T"
Mg 5.151 2.381 1.806
O 11.085 5.212 1.751
O 0.856 4.203 1.507
O 8.782 4.874 0.195
O 6.372 3.981 1.835
O 11.173 2.613 0.157
O 1.344 1.325 3.093
Fe 10.112 0.956 0.177
Fe 14.923 6.010 3.288
Fe 5.347 4.917 0.207
Fe 1.553 2.383 1.503
Fe 8.252 4.018 1.794
Fe 12.060 3.450 1.736
F 4.076 3.187 0.238
F 13.207 4.281 3.310
F 6.074 1.568 0.198
F 8.912 2.149 1.781
F 13.437 1.865 1.714
F 4.055 0.731 1.751
```

Properties
Energy with MP2020 corrections: -133.85 eV per cell
SG: No. 1
E_form: -40.26 eV/f.u.
DFT total energy: -5.97 eV/atom
Crystal system: triclinic
Total magnetization: 1.47 μB/atom
Excess energy over the best structure of this formula in the dataset: 46 kJ/mol of formula units